A relaxed NpNiO3F6 crystal. Source: the Materials Project, functional PBE with a Hubbard U.

POSCAR file:
```
NpNiO3F6
1.0
5.8276 -3.3718 0.0000
5.8276 3.3718 0.0000
-1.5147 0.0000 8.3102
Np Ni O F
2 2 6 12
Direct
0.0000 0.0000 0.0000
0.8226 0.1774 0.5000
0.4110 0.0888 0.7510
0.9112 0.5890 0.2490
0.2167 0.4096 0.2079
0.2222 0.3956 0.7166
0.2679 0.7321 0.0000
0.5546 0.4454 0.5000
0.5904 0.7833 0.7921
0.6044 0.7778 0.2834
0.1194 0.0196 0.2391
0.1896 0.0130 0.5783
0.2173 0.1218 0.9352
0.6050 0.0577 0.5694
0.6345 0.1652 0.9202
0.7001 0.1536 0.2624
0.8348 0.3655 0.0798
0.8464 0.2999 0.7376
0.8782 0.7827 0.0648
0.9423 0.3950 0.4306
0.9804 0.8806 0.7609
0.9870 0.8104 0.4217
```

Calculated values
- Formation energy from the elements: -2.065 eV per atom
- Theoretical density: 4.65 Mg/m³

A relaxed MgVP2O7 crystal. Source: the Materials Project, functional PBE with a Hubbard U.

POSCAR file:
```
MgVP2O7
1.0
-0.3026 -0.0479 6.5897
7.8558 3.8288 0.0439
-1.0564 9.1633 2.8939
Mg V P O
4 4 8 28
Direct
0.6523 0.1676 0.4845
0.6524 0.6676 0.9846
0.3476 0.8324 0.5155
0.3476 0.3324 0.0154
0.1602 0.4258 0.7355
0.8399 0.5741 0.2648
0.1604 0.9260 0.2355
0.8396 0.0741 0.7645
0.6849 0.9368 0.1532
0.6847 0.4368 0.6532
0.3151 0.0632 0.8468
0.3153 0.5632 0.3468
0.1887 0.1897 0.4096
0.1887 0.6896 0.9096
0.8112 0.8103 0.5904
0.8112 0.3103 0.0904
0.6862 0.4091 0.5037
0.6863 0.9091 0.0037
0.3137 0.5909 0.4963
0.3137 0.0909 0.9963
0.8504 0.8516 0.2212
0.8503 0.3515 0.7212
0.1496 0.1485 0.7788
0.1498 0.6485 0.2788
0.4613 0.9003 0.2751
0.4612 0.4004 0.7750
0.5387 0.0997 0.7249
0.5389 0.5996 0.2250
0.6532 0.9066 0.5213
0.6532 0.4066 0.0213
0.3468 0.0934 0.4787
0.3468 0.5934 0.9787
0.2118 0.1867 0.2474
0.2117 0.6867 0.7475
0.7882 0.8133 0.7526
0.7883 0.3133 0.2526
0.2500 0.3716 0.3993
0.2500 0.8717 0.8993
0.7500 0.6284 0.6007
0.7499 0.1284 0.1007
0.0457 0.8538 0.4833
0.0457 0.3538 0.9832
0.9543 0.1462 0.5167
0.9543 0.6461 0.0168
```

Calculated values
- Formation energy from the elements: -2.780 eV per atom
- E above lowest polymorph: 11 meV/atom
- Theoretical density: 3.32 Mg/m³

A relaxed Li6Mn5O12 crystal. Source: the Materials Project, functional PBE with a Hubbard U.

POSCAR file:
```
Li6Mn5O12
1.0
5.0725 0.0000 0.0000
0.1983 8.8368 0.0000
0.8101 1.2875 9.7248
Li Mn O
12 10 24
Direct
0.0000 0.0000 0.0000
0.0012 0.6431 0.9954
0.1295 0.1178 0.2257
0.2473 0.9056 0.4712
0.2517 0.2339 0.4625
0.2872 0.5896 0.4651
0.4874 0.1606 0.0001
0.5078 0.8029 0.0070
0.5241 0.4840 0.9979
0.6372 0.6156 0.2424
0.7639 0.4226 0.4675
0.7750 0.0733 0.4701
0.1265 0.7810 0.2348
0.1364 0.4477 0.2304
0.3852 0.3565 0.7377
0.3880 0.0258 0.7335
0.3913 0.6956 0.7323
0.6283 0.9463 0.2367
0.6408 0.2820 0.2323
0.8849 0.5298 0.7348
0.8888 0.1919 0.7340
0.8965 0.8619 0.7306
0.0689 0.3743 0.6326
0.0730 0.0649 0.6095
0.1020 0.7272 0.6194
0.1960 0.1596 0.8443
0.2029 0.5267 0.8376
0.2028 0.8353 0.8443
0.2913 0.6304 0.1214
0.3233 0.9514 0.1222
0.3457 0.3118 0.1227
0.4247 0.7768 0.3418
0.4399 0.4176 0.3467
0.4760 0.0988 0.3463
0.5689 0.8779 0.6317
0.5764 0.5514 0.6248
0.5945 0.2121 0.6214
0.6808 0.3249 0.8455
0.6862 0.6644 0.8513
0.7316 0.0122 0.8412
0.7828 0.1241 0.1265
0.8230 0.8096 0.1223
0.8273 0.4556 0.1271
0.9367 0.9229 0.3408
0.9464 0.2777 0.3422
0.9828 0.5938 0.3426
```

Calculated values
- Formation energy from the elements: -2.102 eV per atom
- E above lowest polymorph: 0 meV/atom
- Theoretical density: 3.87 Mg/m³

A relaxed MgZnCo4O8 crystal. Source: the Materials Project, functional PBE with a Hubbard U.

POSCAR file:
```
MgZnCo4O8
1.0
3.0722 0.0000 0.0000
-1.5310 7.1312 0.0000
-1.5261 -0.9998 7.4225
Mg Zn Co O
1 1 4 8
Direct
0.0000 0.0000 0.0000
0.4941 0.3426 0.6426
0.1864 0.0385 0.3363
0.2903 0.6063 0.9738
0.6700 0.7535 0.5880
0.8370 0.3920 0.2840
0.1002 0.3891 0.8087
0.2057 0.2411 0.1722
0.2093 0.8915 0.5286
0.4864 0.5251 0.4501
0.5398 0.9276 0.1529
0.8000 0.7634 0.8363
0.8299 0.2090 0.4543
0.8389 0.5604 0.1179
```

Calculated values
- Formation energy from the elements: -1.327 eV per atom
- E above lowest polymorph: 130 meV/atom
- Theoretical density: 4.63 Mg/m³